Entry from the Materials Project: a relaxed structure of LiSnPO4 (PBE-GGA).

Geometry as CIF:
```
data_LiSnPO4
_cell_length_a 12.557
_cell_length_b 6.282
_cell_length_c 9.791
_cell_angle_alpha 80.57
_cell_angle_beta 90.00
_cell_angle_gamma 90.00
_space_group_name_H-M_alt 'P 1'
_space_group_IT_number 1
_space_group_name_Hall 'P 1'
loop_
_atom_site_label
_atom_site_fract_x
_atom_site_fract_y
_atom_site_fract_z
Li1 0.865 0.037 0.952
Li2 0.635 0.037 0.452
Li3 0.373 0.496 0.658
Li4 0.127 0.496 0.158
Li5 0.873 0.504 0.842
Li6 0.627 0.504 0.342
Li7 0.365 0.963 0.548
Li8 0.135 0.963 0.048
Sn1 0.089 0.896 0.733
Sn2 0.411 0.896 0.233
Sn3 0.644 0.647 0.982
Sn4 0.856 0.647 0.482
Sn5 0.144 0.353 0.518
Sn6 0.356 0.353 0.018
Sn7 0.589 0.104 0.767
Sn8 0.911 0.104 0.267
P1 0.345 0.859 0.847
P2 0.155 0.859 0.347
P3 0.611 0.627 0.637
P4 0.889 0.627 0.137
P5 0.111 0.373 0.863
P6 0.389 0.373 0.363
P7 0.845 0.141 0.653
P8 0.655 0.141 0.153
O1 0.263 0.916 0.408
O2 0.914 0.933 0.692
O3 0.237 0.916 0.908
O4 0.586 0.933 0.192
O5 0.328 0.759 0.714
O6 0.549 0.844 0.608
O7 0.172 0.759 0.214
O8 0.951 0.844 0.108
O9 0.405 0.694 0.961
O10 0.684 0.614 0.766
O11 0.095 0.694 0.461
O12 0.680 0.606 0.506
O13 0.030 0.567 0.839
O14 0.816 0.614 0.266
O15 0.820 0.606 0.006
O16 0.470 0.567 0.339
O17 0.530 0.433 0.661
O18 0.180 0.394 0.994
O19 0.184 0.386 0.734
O20 0.970 0.433 0.161
O21 0.320 0.394 0.494
O22 0.905 0.306 0.539
O23 0.316 0.386 0.234
O24 0.595 0.306 0.039
O25 0.049 0.156 0.892
O26 0.828 0.241 0.786
O27 0.451 0.156 0.392
O28 0.672 0.241 0.286
O29 0.414 0.067 0.808
O30 0.763 0.084 0.092
O31 0.086 0.067 0.308
O32 0.737 0.084 0.592
```

Computed properties:
Energy of formation ... -2396 meV per atom
Uncorrected energy ... -6.4496 eV/atom
Energy with MP2020 corrections ... -6.842 eV per atom
Symmetry ... P2_1/c